# LiFe2F7 | the Materials Project | PBE+U | relaxed
# total moment	10.00	μB/f.u.
# DFT formation energy	-2649	meV per atom
data_LiFe2F7
_chemical_formula_sum 'Li2 Fe4 F14'
_space_group_name_H-M_alt 'P 1 21/m 1'
_space_group_IT_number 11
_cell_length_a 5.160
_cell_length_b 9.395
_cell_length_c 6.022
_cell_angle_alpha 90.00
_cell_angle_beta 95.58
_cell_angle_gamma 90.00
loop_
_space_group_symop_operation_xyz
'x,y,z'
'-x,-y,-z'
'-x,y+1/2,-z'
'x,-y+1/2,z'
loop_
_atom_site_label
_atom_site_fract_x
_atom_site_fract_y
_atom_site_fract_z
_atom_site_occupancy
Li1 0.201 0.250 0.348 1
Fe1 0.121 0.598 0.179 1
F1 0.011 0.250 0.615 1
F2 0.042 0.250 0.036 1
F3 0.211 0.505 0.902 1
F4 0.256 0.044 0.370 1
F5 0.394 0.750 0.199 1